1.
VASP calculation (PBE with a Hubbard U) on K2W2O5 after structural relaxation.

Properties
crystal system	triclinic
E (MP2020)	-137.94	eV per cell
space group	P1 (1)
energy relative to the lowest polymorph listed for this composition	12	meV per atom
formation energy from the elements	-1.788	eV per atom

Lattice parameters (Å, degrees): 5.7653 5.7791 8.9863 108.74 108.66 90.07
Last column: nearest neighbours and their distance in Å.
Positions (direct):
K1 0.0000 0.0000 0.0000  10 O 2.77-3.01
K2 0.2436 0.2578 0.4916  10 O 2.77-3.01
K3 0.4983 0.5131 0.0000  10 O 2.77-3.01
K4 0.7453 0.7447 0.4917  10 O 2.77-3.01
W1 0.1219 0.6289 0.2458  6 O 1.93-2.10
W2 0.3752 0.8804 0.7459  4 O 1.92-2.06
W3 0.6219 0.1289 0.2458  6 O 2.03-2.15
W4 0.8682 0.3776 0.7457  4 O 1.92-2.06
O1 0.1210 0.6296 0.7458  2 W 2.06
O2 0.2520 0.7854 0.5070  2 W 1.92-2.10
O3 0.3546 0.8613 0.2370  2 W 1.93-2.15
O4 0.3770 0.3820 0.2542  2 W 2.03-2.05
O5 0.4934 0.0254 0.9845  2 W 1.92-2.10
O6 0.6211 0.6281 0.7459  2 W 2.03
O7 0.7505 0.2324 0.5071  2 W 1.92-2.10
O8 0.8668 0.8758 0.2374  2 W 2.04-2.05
O9 0.8892 0.3965 0.2546  2 W 1.93-2.15
O10 0.9919 0.4724 0.9846  2 W 1.92-2.10



2.
VASP calculation (PBE with a Hubbard U) on Na3CoO3 after structural relaxation.

Properties
crystal system	monoclinic
E (MP2020)	-147.27	eV per cell
space group	P2_1/c (14)
energy relative to the lowest polymorph listed for this composition	18	meV per atom
formation energy from the elements	-1.557	eV per atom

Lattice parameters (Å, degrees): 3.9937 10.9946 10.1603 90.00 101.72 90.00
Last column: nearest neighbours and their distance in Å.
Positions (direct):
Na1 0.0004 0.2302 0.0201  4 O 2.32-2.46
Na2 0.0004 0.2698 0.5201  4 O 2.32-2.46
Na3 0.9996 0.7302 0.4799  4 O 2.32-2.46
Na4 0.9996 0.7698 0.9799  4 O 2.32-2.46
Na5 0.2220 0.5150 0.8838  4 O 2.31-2.36
Na6 0.2220 0.9850 0.3838  4 O 2.31-2.36
Na7 0.4031 0.0704 0.8635  4 O 2.34-2.37
Na8 0.4031 0.4296 0.3635  4 O 2.34-2.37
Na9 0.5969 0.5704 0.6365  4 O 2.34-2.37
Na10 0.5969 0.9296 0.1365  4 O 2.34-2.37
Na11 0.7780 0.0150 0.6162  4 O 2.31-2.36
Na12 0.7780 0.4850 0.1162  4 O 2.31-2.36
Co1 0.3104 0.6897 0.2455  3 O 1.77-1.78
Co2 0.3104 0.8103 0.7455  3 O 1.77-1.78
Co3 0.6896 0.1897 0.2545  3 O 1.77-1.78
Co4 0.6896 0.3103 0.7545  3 O 1.77-1.78
O1 0.1367 0.6613 0.7156  1 Co 1.78
O2 0.1367 0.8387 0.2156  1 Co 1.78
O3 0.2710 0.5914 0.1040  1 Co 1.78
O4 0.2710 0.9086 0.6040  1 Co 1.78
O5 0.4718 0.6377 0.4110  1 Co 1.77
O6 0.4718 0.8623 0.9110  1 Co 1.77
O7 0.5282 0.1377 0.0890  1 Co 1.77
O8 0.5282 0.3623 0.5890  1 Co 1.77
O9 0.7290 0.0914 0.3960  1 Co 1.78
O10 0.7290 0.4086 0.8960  1 Co 1.78
O11 0.8633 0.1613 0.7844  1 Co 1.78
O12 0.8633 0.3387 0.2844  1 Co 1.78



3.
VASP calculation (PBE with a Hubbard U) on MgV5O10 after structural relaxation.

Properties
crystal system	triclinic
E (MP2020)	-136.84	eV per cell
space group	P1 (1)
energy relative to the lowest polymorph listed for this composition	0	meV per atom
formation energy from the elements	-2.521	eV per atom

Lattice parameters (Å, degrees): 5.3790 5.6069 7.2984 78.67 70.64 62.30
Last column: nearest neighbours and their distance in Å.
Positions (direct):
Mg1 0.0000 0.0000 0.0000  5 O 1.99-2.12
V1 0.1479 0.5253 0.8240  6 O 1.98-2.20
V2 0.4132 0.0549 0.2296  2 O 1.79-1.93
V3 0.5446 0.5579 0.0563  5 O 1.99-2.08
V4 0.7288 0.5405 0.6082  3 O 1.81-1.99
V5 0.8405 0.0400 0.4516  4 O 1.81-1.99
O1 0.0450 0.2458 0.4372  3 V 1.90-2.01
O2 0.2058 0.8539 0.2250  3 V 1.93-2.07, 1 Mg 2.10
O3 0.3081 0.3127 0.0451  2 V 1.79-1.99
O4 0.3708 0.7293 0.8334  3 V 2.00-2.05, 1 Mg 2.02
O5 0.5333 0.3286 0.6238  3 V 1.89-2.04
O6 0.6121 0.8214 0.4354  2 V 1.81-2.03
O7 0.6794 0.2262 0.2273  3 V 1.99-2.06, 1 Mg 2.06
O8 0.7564 0.7777 0.0395  3 V 2.00-2.20, 1 Mg 2.12
O9 0.9024 0.3404 0.8350  1 Mg 1.99, 3 V 2.00-2.08
O10 0.9564 0.7606 0.6238  2 V 1.81-1.98



4.
VASP calculation (PBE with a Hubbard U) on Li2Ti3MnO8 after structural relaxation.

Properties
crystal system	cubic
E (MP2020)	-476.71	eV per cell
space group	P4_332 (212)
energy relative to the lowest polymorph listed for this composition	24	meV per atom
formation energy from the elements	-3.066	eV per atom

Lattice parameters (Å, degrees): 8.5625 8.5625 8.5625 90.00 90.00 90.00
Last column: nearest neighbours and their distance in Å.
Positions (direct):
Li1 0.0015 0.0015 0.0015  4 O 2.03-2.06
Li2 0.2485 0.2485 0.2485  4 O 2.03-2.06
Li3 0.2515 0.7515 0.7485  4 O 2.03-2.06
Li4 0.4985 0.9985 0.5015  4 O 2.03-2.06
Li5 0.5015 0.4985 0.9985  4 O 2.03-2.06
Li6 0.7485 0.2515 0.7515  4 O 2.03-2.06
Li7 0.7515 0.7485 0.2515  4 O 2.03-2.06
Li8 0.9985 0.5015 0.4985  4 O 2.03-2.06
Ti1 0.1219 0.1281 0.6250  6 O 1.93-2.03
Ti2 0.1250 0.3781 0.8719  6 O 1.93-2.03
Ti3 0.1281 0.6250 0.1219  6 O 1.93-2.03
Ti4 0.3719 0.3750 0.6219  6 O 1.93-2.03
Ti5 0.3750 0.6219 0.3719  6 O 1.93-2.03
Ti6 0.3781 0.8719 0.1250  6 O 1.93-2.03
Ti7 0.6219 0.3719 0.3750  6 O 1.93-2.03
Ti8 0.6250 0.1219 0.1281  6 O 1.93-2.03
Ti9 0.6281 0.8750 0.8781  6 O 1.93-2.03
Ti10 0.8719 0.1250 0.3781  6 O 1.93-2.03
Ti11 0.8750 0.8781 0.6281  6 O 1.93-2.03
Ti12 0.8781 0.6281 0.8750  6 O 1.93-2.03
Mn1 0.1250 0.8750 0.3750  6 O 2.20
Mn2 0.3750 0.1250 0.8750  6 O 2.20
Mn3 0.6250 0.6250 0.6250  6 O 2.20
Mn4 0.8750 0.3750 0.1250  6 O 2.20
O1 0.0973 0.1302 0.3930  2 Ti 1.93-2.00, 1 Li 2.06
O2 0.1070 0.9027 0.6302  2 Ti 1.93-2.00, 1 Li 2.06
O3 0.1147 0.6147 0.8853  1 Li 2.03, 3 Ti 2.03
O4 0.1198 0.1527 0.8570  2 Ti 1.93-2.00, 1 Li 2.06
O5 0.1302 0.3930 0.0973  2 Ti 1.93-2.00, 1 Li 2.06
O6 0.1353 0.3647 0.6353  1 Li 2.03, 3 Ti 2.03
O7 0.1430 0.6198 0.3473  2 Ti 1.93-2.00, 1 Li 2.06
O8 0.1527 0.8570 0.1198  2 Ti 1.93-2.00, 1 Li 2.06
O9 0.3473 0.1430 0.6198  2 Ti 1.93-2.00, 1 Li 2.06
O10 0.3570 0.3802 0.8473  2 Ti 1.93-2.00, 1 Li 2.06
O11 0.3647 0.6353 0.1353  1 Li 2.03, 3 Ti 2.03
O12 0.3698 0.6070 0.5973  2 Ti 1.93-2.00, 1 Li 2.06
O13 0.3802 0.8473 0.3570  2 Ti 1.93-2.00, 1 Li 2.06
O14 0.3853 0.3853 0.3853  1 Li 2.03, 3 Ti 2.03
O15 0.3930 0.0973 0.1302  2 Ti 1.93-2.00, 1 Li 2.06
O16 0.4027 0.8698 0.8930  2 Ti 1.93-2.00, 1 Li 2.06
O17 0.5973 0.3698 0.6070  2 Ti 1.93-2.00, 1 Li 2.06
O18 0.6070 0.5973 0.3698  2 Ti 1.93-2.00, 1 Li 2.06
O19 0.6147 0.8853 0.1147  1 Li 2.03, 3 Ti 2.03
O20 0.6198 0.3473 0.1430  2 Ti 1.93-2.00, 1 Li 2.06
O21 0.6302 0.1070 0.9027  2 Ti 1.93-2.00, 1 Li 2.06
O22 0.6353 0.1353 0.3647  1 Li 2.03, 3 Ti 2.03
O23 0.6430 0.8802 0.6527  2 Ti 1.93-2.00, 1 Li 2.06
O24 0.6527 0.6430 0.8802  2 Ti 1.93-2.00, 1 Li 2.06
O25 0.8473 0.3570 0.3802  2 Ti 1.93-2.00, 1 Li 2.06
O26 0.8570 0.1198 0.1527  2 Ti 1.93-2.00, 1 Li 2.06
O27 0.8647 0.8647 0.8647  1 Li 2.03, 3 Ti 2.03
O28 0.8698 0.8930 0.4027  2 Ti 1.93-2.00, 1 Li 2.06
O29 0.8802 0.6527 0.6430  2 Ti 1.93-2.00, 1 Li 2.06
O30 0.8853 0.1147 0.6147  1 Li 2.03, 3 Ti 2.03
O31 0.8930 0.4027 0.8698  2 Ti 1.93-2.00, 1 Li 2.06
O32 0.9027 0.6302 0.1070  2 Ti 1.93-2.00, 1 Li 2.06



5.
VASP calculation (PBE with a Hubbard U) on Li2TiCr3O8 after structural relaxation.

Properties
crystal system	cubic
E (MP2020)	-464.18	eV per cell
space group	P4_332 (212)
energy relative to the lowest polymorph listed for this composition	12	meV per atom
formation energy from the elements	-2.556	eV per atom

Lattice parameters (Å, degrees): 8.3977 8.3977 8.3977 90.00 90.00 90.00
Last column: nearest neighbours and their distance in Å.
Positions (direct):
Li1 0.0040 0.4960 0.5040  4 O 2.01
Li2 0.2460 0.7460 0.7540  4 O 2.01
Li3 0.2540 0.2540 0.2540  4 O 2.01
Li4 0.4960 0.5040 0.0040  4 O 2.01
Li5 0.5040 0.0040 0.4960  4 O 2.01
Li6 0.7460 0.7540 0.2460  4 O 2.01
Li7 0.7540 0.2460 0.7460  4 O 2.01
Li8 0.9960 0.9960 0.9960  4 O 2.01
Ti1 0.1250 0.8750 0.3750  6 O 1.96
Ti2 0.3750 0.1250 0.8750  6 O 1.96
Ti3 0.6250 0.6250 0.6250  6 O 1.96
Ti4 0.8750 0.3750 0.1250  6 O 1.96
Cr1 0.1220 0.6250 0.1280  6 O 1.99-2.02
Cr2 0.1250 0.3720 0.8780  6 O 1.99-2.02
Cr3 0.1280 0.1220 0.6250  6 O 1.99-2.02
Cr4 0.3720 0.8780 0.1250  6 O 1.99-2.02
Cr5 0.3750 0.6280 0.3780  6 O 1.99-2.02
Cr6 0.3780 0.3750 0.6280  6 O 1.99-2.02
Cr7 0.6220 0.8750 0.8720  6 O 1.99-2.02
Cr8 0.6250 0.1280 0.1220  6 O 1.99-2.02
Cr9 0.6280 0.3780 0.3750  6 O 1.99-2.02
Cr10 0.8720 0.6220 0.8750  6 O 1.99-2.02
Cr11 0.8750 0.8720 0.6220  6 O 1.99-2.02
Cr12 0.8780 0.1250 0.3720  6 O 1.99-2.02
O1 0.1080 0.3869 0.1179  1 Ti 1.96, 2 Cr 2.00-2.02, 1 Li 2.01
O2 0.1080 0.6080 0.8920  3 Cr 1.99, 1 Li 2.01
O3 0.1131 0.8821 0.6080  1 Ti 1.96, 2 Cr 2.00-2.02, 1 Li 2.01
O4 0.1179 0.1080 0.3869  1 Ti 1.96, 2 Cr 2.00-2.02, 1 Li 2.01
O5 0.1321 0.8631 0.1420  1 Ti 1.96, 2 Cr 2.00-2.02, 1 Li 2.01
O6 0.1369 0.6420 0.3679  1 Ti 1.96, 2 Cr 2.00-2.02, 1 Li 2.01
O7 0.1420 0.1321 0.8631  1 Ti 1.96, 2 Cr 2.00-2.02, 1 Li 2.01
O8 0.1420 0.3580 0.6420  3 Cr 1.99, 1 Li 2.01
O9 0.3580 0.6420 0.1420  3 Cr 1.99, 1 Li 2.01
O10 0.3580 0.8679 0.3631  1 Ti 1.96, 2 Cr 2.00-2.02, 1 Li 2.01
O11 0.3631 0.3580 0.8679  1 Ti 1.96, 2 Cr 2.00-2.02, 1 Li 2.01
O12 0.3679 0.1369 0.6420  1 Ti 1.96, 2 Cr 2.00-2.02, 1 Li 2.01
O13 0.3821 0.8920 0.8869  1 Ti 1.96, 2 Cr 2.00-2.02, 1 Li 2.01
O14 0.3869 0.1179 0.1080  1 Ti 1.96, 2 Cr 2.00-2.02, 1 Li 2.01
O15 0.3920 0.3920 0.3920  3 Cr 1.99, 1 Li 2.01
O16 0.3920 0.6131 0.6179  1 Ti 1.96, 2 Cr 2.00-2.02, 1 Li 2.01
O17 0.6080 0.1131 0.8821  1 Ti 1.96, 2 Cr 2.00-2.02, 1 Li 2.01
O18 0.6080 0.8920 0.1080  3 Cr 1.99, 1 Li 2.01
O19 0.6131 0.6179 0.3920  1 Ti 1.96, 2 Cr 2.00-2.02, 1 Li 2.01
O20 0.6179 0.3920 0.6131  1 Ti 1.96, 2 Cr 2.00-2.02, 1 Li 2.01
O21 0.6321 0.6369 0.8580  1 Ti 1.96, 2 Cr 2.00-2.02, 1 Li 2.01
O22 0.6369 0.8580 0.6321  1 Ti 1.96, 2 Cr 2.00-2.02, 1 Li 2.01
O23 0.6420 0.1420 0.3580  3 Cr 1.99, 1 Li 2.01
O24 0.6420 0.3679 0.1369  1 Ti 1.96, 2 Cr 2.00-2.02, 1 Li 2.01
O25 0.8580 0.6321 0.6369  1 Ti 1.96, 2 Cr 2.00-2.02, 1 Li 2.01
O26 0.8580 0.8580 0.8580  3 Cr 1.99, 1 Li 2.01
O27 0.8631 0.1420 0.1321  1 Ti 1.96, 2 Cr 2.00-2.02, 1 Li 2.01
O28 0.8679 0.3631 0.3580  1 Ti 1.96, 2 Cr 2.00-2.02, 1 Li 2.01
O29 0.8821 0.6080 0.1131  1 Ti 1.96, 2 Cr 2.00-2.02, 1 Li 2.01
O30 0.8869 0.3821 0.8920  1 Ti 1.96, 2 Cr 2.00-2.02, 1 Li 2.01
O31 0.8920 0.1080 0.6080  3 Cr 1.99, 1 Li 2.01
O32 0.8920 0.8869 0.3821  1 Ti 1.96, 2 Cr 2.00-2.02, 1 Li 2.01



6.
VASP calculation (PBE with a Hubbard U) on MnBO3 after structural relaxation.

Properties
crystal system	hexagonal
E (MP2020)	-125.11	eV per cell
space group	P-6 (174)
formation energy from the elements	-2.203	eV per atom

Lattice parameters (Å, degrees): 8.4025 8.4025 3.0730 90.00 90.00 120.00
Last column: nearest neighbours and their distance in Å.
Positions (direct):
Mn1 0.0417 0.7010 0.0000  5 O 1.95-2.08
Mn2 0.2990 0.3408 0.0000  5 O 1.95-2.08
Mn3 0.6592 0.9583 0.0000  5 O 1.95-2.08
B1 0.0000 0.0000 0.5000  3 O 1.38
B2 0.3333 0.6667 0.5000  3 O 1.39
B3 0.6667 0.3333 0.0000  3 O 1.36
O1 0.0543 0.8698 0.5000  1 B 1.38
O2 0.1302 0.1845 0.5000  1 B 1.38
O3 0.1487 0.6165 0.5000  1 B 1.39
O4 0.3835 0.5322 0.5000  1 B 1.39
O5 0.4678 0.8513 0.5000  1 B 1.39
O6 0.4806 0.2603 0.0000  1 B 1.36
O7 0.7397 0.2203 0.0000  1 B 1.36
O8 0.7797 0.5194 0.0000  1 B 1.36
O9 0.8155 0.9457 0.5000  1 B 1.38



Number 1: DFT total energy -113.313 eV per cell. Number 2: DFT total energy -132.474 eV per cell. Number 3: DFT total energy -121.472 eV per cell. Number 4: DFT total energy -448.059 eV per cell. Number 5: DFT total energy -418.206 eV per cell. Number 6: DFT total energy -113.918 eV per cell.